A geometry-optimized TeAsSe4F6 structure, computed with PBE.

```
data_TeAsSe4F6
_symmetry_space_group_name_H-M 'P b c n'
_symmetry_Int_Tables_number 60
_symmetry_space_group_name_Hall '-P 2n 2ab'
_cell_length_a 16.541
_cell_length_b 13.387
_cell_length_c 19.408
_cell_angle_alpha 90.00
_cell_angle_beta 90.00
_cell_angle_gamma 90.00
loop_
_atom_site_label
_atom_site_type_symbol
_atom_site_fract_x
_atom_site_fract_y
_atom_site_fract_z
Te1 Te 0.139 0.218 0.202
Te2 Te 0.245 0.220 0.466
As1 As 0.086 0.434 0.362
As2 As 0.096 0.022 0.854
Se1 Se 0.075 0.294 0.597
Se2 Se 0.109 0.131 0.084
Se3 Se 0.113 0.160 0.529
Se4 Se 0.122 0.249 0.709
Se5 Se 0.146 0.380 0.037
Se6 Se 0.200 0.381 0.147
Se7 Se 0.221 0.365 0.735
Se8 Se 0.236 0.113 0.037
F1 F 0.004 0.495 0.112
F2 F 0.011 0.083 0.820
F3 F 0.027 0.327 0.340
F4 F 0.048 0.096 0.341
F5 F 0.054 0.030 0.938
F6 F 0.078 0.481 0.278
F7 F 0.100 0.387 0.448
F8 F 0.140 0.011 0.771
F9 F 0.142 0.458 0.886
F10 F 0.145 0.139 0.866
F11 F 0.176 0.368 0.338
F12 F 0.181 0.041 0.390
```

Summary:
Its calculated volume is 22.4 A^3/atom. The total energy is -4.05 eV per atom. The energy relative to the elements comes out at -1510 meV per atom.